Record 1
MgFeCu2SnS4 | GGA-PBE | relaxed

abc: 5.474 5.423 6.172
angles: 90.00 90.58 90.00
Atoms (fractional coordinates):
Mg1 0.000 0.000 0.000
Fe1 0.500 0.001 0.000
Cu1 0.000 0.501 0.000
Cu2 0.500 0.500 0.500
Sn1 0.000 0.005 0.500
S1 0.278 0.727 0.781
S2 0.282 0.274 0.217
S3 0.718 0.274 0.783
S4 0.722 0.727 0.219

distance to the lowest polymorph of the same formula: 0.030 eV per atom

Record 2
Ta6Cr3Cu3C2 | GGA-PBE | relaxed

abc: 8.131 8.131 8.131
angles: 120.47 119.62 89.92
Atoms (fractional coordinates):
Ta1 0.000 0.000 0.000
Ta2 0.001 0.004 0.618
Ta3 0.001 0.383 0.997
Ta4 0.248 0.137 0.501
Ta5 0.248 0.747 0.110
Ta6 0.251 0.751 0.500
Ta7 0.385 0.004 0.003
Ta8 0.385 0.383 0.382
Ta9 0.385 0.385 0.000
Ta10 0.636 0.137 0.890
Ta11 0.636 0.747 0.499
Ta12 0.637 0.137 0.500
Cr1 0.022 0.369 0.653
Cr2 0.316 0.563 0.753
Cr3 0.716 0.369 0.347
Cr4 0.809 0.563 0.247
Cr5 0.817 0.084 0.267
Cr6 0.817 0.551 0.733
Cu1 0.027 0.364 0.337
Cu2 0.027 0.690 0.663
Cu3 0.611 0.448 0.837
Cu4 0.611 0.774 0.163
Cu5 0.612 0.774 0.838
Cu6 0.937 0.774 0.162
C1 0.315 0.065 0.250
C2 0.317 0.067 0.750
C3 0.317 0.568 0.250
C4 0.816 0.065 0.750

Record 3
NaMg6Ni | GGA-PBE | relaxed

abc: 4.955 6.293 10.770
angles: 90.00 90.00 90.00
Atoms (fractional coordinates):
Mg1 0.000 0.758 0.078
Mg2 0.000 0.742 0.578
Mg3 0.000 0.258 0.578
Mg4 0.500 0.733 0.407
Mg5 0.000 0.000 0.334
Mg6 0.500 0.500 0.664
Mg7 0.000 0.242 0.078
Mg8 0.500 0.000 0.164
Mg9 0.000 0.500 0.834
Mg10 0.500 0.267 0.407
Mg11 0.500 0.767 0.907
Mg12 0.500 0.233 0.907
Ni1 0.000 0.000 0.863
Ni2 0.000 0.500 0.363
Na1 0.500 0.500 0.168
Na2 0.500 0.000 0.668

Record 4
Mg7Si4 | GGA-PBE | relaxed

abc: 5.144 6.045 14.591
angles: 101.86 90.64 99.50
Atoms (fractional coordinates):
Mg1 0.000 0.000 0.000
Mg2 0.007 0.508 0.963
Mg3 0.207 0.269 0.656
Mg4 0.264 0.733 0.431
Mg5 0.299 0.232 0.452
Mg6 0.470 0.243 0.889
Mg7 0.482 0.363 0.092
Mg8 0.517 0.856 0.113
Mg9 0.542 0.744 0.899
Mg10 0.658 0.032 0.713
Mg11 0.755 0.494 0.550
Mg12 0.767 0.906 0.310
Mg13 0.776 0.998 0.519
Mg14 0.808 0.403 0.332
Si1 0.083 0.930 0.825
Si2 0.133 0.593 0.761
Si3 0.258 0.833 0.603
Si4 0.317 0.142 0.275
Si5 0.328 0.562 0.276
Si6 0.641 0.533 0.732
Si7 0.961 0.205 0.147
Si8 0.971 0.616 0.146

distance to the lowest polymorph of the same formula: 0.271 eV per atom

Record 5
TbCdNi4 | GGA-PBE | relaxed

abc: 4.974 4.974 4.974
angles: 60.00 60.00 60.00
Atoms (fractional coordinates):
Tb1 0.000 0.000 0.000
Cd1 0.750 0.750 0.750
Ni1 0.376 0.376 0.376
Ni2 0.376 0.376 0.872
Ni3 0.376 0.872 0.376
Ni4 0.872 0.376 0.376

Record 6
HoCu5 | GGA-PBE | relaxed

abc: 5.014 5.014 4.073
angles: 90.00 90.00 120.00
Atoms (fractional coordinates):
Ho1 0.000 0.000 0.000
Cu1 0.000 0.500 0.500
Cu2 0.333 0.667 0.000
Cu3 0.500 0.000 0.500
Cu4 0.500 0.500 0.500
Cu5 0.667 0.333 0.000

Record 7
La2SnS5 | GGA-PBE | relaxed

abc: 7.946 11.368 4.044
angles: 90.00 90.00 90.00
Atoms (fractional coordinates):
La1 0.074 0.169 0.000
La2 0.426 0.669 0.000
La3 0.574 0.331 0.000
La4 0.926 0.831 0.000
Sn1 0.000 0.500 0.500
Sn2 0.500 0.000 0.500
S1 0.000 0.000 0.500
S2 0.144 0.703 0.500
S3 0.190 0.431 0.000
S4 0.310 0.931 0.000
S5 0.356 0.203 0.500
S6 0.500 0.500 0.500
S7 0.644 0.797 0.500
S8 0.690 0.069 0.000
S9 0.810 0.569 0.000
S10 0.856 0.297 0.500

Record 8
NbNi | GGA-PBE | relaxed

abc: 2.819 2.819 4.310
angles: 90.00 90.00 120.00
Atoms (fractional coordinates):
Nb1 0.000 0.000 0.000
Ni1 0.667 0.333 0.500

The DFT formation energy results, record by record, are as follows: -4.570 -2.681 0.895 3.527 -2.092 -1.189 -14.720 0.168 eV per formula unit.
The total DFT energy (no corrections) results, record by record, are as follows: -4.598 -9.539 -1.976 -2.696 -5.128 -4.378 -5.846 -7.857 eV per atom.